A geometry-optimized SiO2 structure, computed with PBE.

Unit cell a=13.7748 b=13.7748 c=13.7748 alpha=90.00 beta=90.00 gamma=90.00
Last column: nearest neighbours and their distance in Å.
Atoms (fractional coordinates):
Si (0.0000, 0.1130, 0.3098)  4 O 1.61-1.63
Si (0.0000, 0.1130, 0.6902)  4 O 1.61-1.63
Si (0.0000, 0.2500, 0.5000)  4 O 1.61
Si (0.0000, 0.7500, 0.5000)  4 O 1.61
Si (0.0000, 0.8870, 0.3098)  4 O 1.61-1.63
Si (0.0000, 0.8870, 0.6902)  4 O 1.61-1.63
Si (0.1130, 0.3098, 0.0000)  4 O 1.61-1.63
Si (0.1130, 0.6902, 0.0000)  4 O 1.61-1.63
Si (0.1822, 0.1822, 0.1822)  4 O 1.62
Si (0.1822, 0.1822, 0.8178)  4 O 1.62
Si (0.1822, 0.8178, 0.1822)  4 O 1.62
Si (0.1822, 0.8178, 0.8178)  4 O 1.62
Si (0.1902, 0.3870, 0.5000)  4 O 1.61-1.63
Si (0.1902, 0.6130, 0.5000)  4 O 1.61-1.63
Si (0.2500, 0.5000, 0.0000)  4 O 1.61
Si (0.3098, 0.0000, 0.1130)  4 O 1.61-1.63
Si (0.3098, 0.0000, 0.8870)  4 O 1.61-1.63
Si (0.3178, 0.3178, 0.3178)  4 O 1.62
Si (0.3178, 0.3178, 0.6822)  4 O 1.62
Si (0.3178, 0.6822, 0.3178)  4 O 1.62
Si (0.3178, 0.6822, 0.6822)  4 O 1.62
Si (0.3870, 0.5000, 0.1902)  4 O 1.61-1.63
Si (0.3870, 0.5000, 0.8098)  4 O 1.61-1.63
Si (0.5000, 0.0000, 0.2500)  4 O 1.61
Si (0.5000, 0.0000, 0.7500)  4 O 1.61
Si (0.5000, 0.1902, 0.3870)  4 O 1.61-1.63
Si (0.5000, 0.1902, 0.6130)  4 O 1.61-1.63
Si (0.5000, 0.8098, 0.3870)  4 O 1.61-1.63
Si (0.5000, 0.8098, 0.6130)  4 O 1.61-1.63
Si (0.6130, 0.5000, 0.1902)  4 O 1.61-1.63
Si (0.6130, 0.5000, 0.8098)  4 O 1.61-1.63
Si (0.6822, 0.3178, 0.3178)  4 O 1.62
Si (0.6822, 0.3178, 0.6822)  4 O 1.62
Si (0.6822, 0.6822, 0.3178)  4 O 1.62
Si (0.6822, 0.6822, 0.6822)  4 O 1.62
Si (0.6902, 0.0000, 0.1130)  4 O 1.61-1.63
Si (0.6902, 0.0000, 0.8870)  4 O 1.61-1.63
Si (0.7500, 0.5000, 0.0000)  4 O 1.61
Si (0.8098, 0.3870, 0.5000)  4 O 1.61-1.63
Si (0.8098, 0.6130, 0.5000)  4 O 1.61-1.63
Si (0.8178, 0.1822, 0.1822)  4 O 1.62
Si (0.8178, 0.1822, 0.8178)  4 O 1.62
Si (0.8178, 0.8178, 0.1822)  4 O 1.62
Si (0.8178, 0.8178, 0.8178)  4 O 1.62
Si (0.8870, 0.3098, 0.0000)  4 O 1.61-1.63
Si (0.8870, 0.6902, 0.0000)  4 O 1.61-1.63
O (0.0000, 0.0000, 0.3443)  2 Si 1.63
O (0.0000, 0.0000, 0.6557)  2 Si 1.63
O (0.0000, 0.1822, 0.4044)  2 Si 1.61
O (0.0000, 0.1822, 0.5956)  2 Si 1.61
O (0.0000, 0.3443, 0.0000)  2 Si 1.63
O (0.0000, 0.6557, 0.0000)  2 Si 1.63
O (0.0000, 0.8178, 0.4044)  2 Si 1.61
O (0.0000, 0.8178, 0.5956)  2 Si 1.61
O (0.0964, 0.1342, 0.2462)  2 Si 1.62
O (0.0964, 0.1342, 0.7538)  2 Si 1.62
O (0.0956, 0.3178, 0.5000)  2 Si 1.61
O (0.0956, 0.6822, 0.5000)  2 Si 1.61
O (0.0964, 0.8658, 0.2462)  2 Si 1.62
O (0.0964, 0.8658, 0.7538)  2 Si 1.62
O (0.1342, 0.2462, 0.0964)  2 Si 1.62
O (0.1342, 0.2462, 0.9036)  2 Si 1.62
O (0.1342, 0.7538, 0.0964)  2 Si 1.62
O (0.1342, 0.7538, 0.9036)  2 Si 1.62
O (0.1557, 0.5000, 0.5000)  2 Si 1.63
O (0.1822, 0.4044, 0.0000)  2 Si 1.61
O (0.1822, 0.5956, 0.0000)  2 Si 1.61
O (0.2462, 0.0964, 0.1342)  2 Si 1.62
O (0.2462, 0.0964, 0.8658)  2 Si 1.62
O (0.2462, 0.9036, 0.1342)  2 Si 1.62
O (0.2462, 0.9036, 0.8658)  2 Si 1.62
O (0.2500, 0.2500, 0.2500)  2 Si 1.62
O (0.2500, 0.2500, 0.7500)  2 Si 1.62
O (0.2500, 0.7500, 0.2500)  2 Si 1.62
O (0.2500, 0.7500, 0.7500)  2 Si 1.62
O (0.2538, 0.3658, 0.4036)  2 Si 1.62
O (0.2538, 0.3658, 0.5964)  2 Si 1.62
O (0.2538, 0.6342, 0.4036)  2 Si 1.62
O (0.2538, 0.6342, 0.5964)  2 Si 1.62
O (0.3178, 0.5000, 0.0956)  2 Si 1.61
O (0.3178, 0.5000, 0.9044)  2 Si 1.61
O (0.3443, 0.0000, 0.0000)  2 Si 1.63
O (0.3658, 0.4036, 0.2538)  2 Si 1.62
O (0.3658, 0.4036, 0.7462)  2 Si 1.62
O (0.3658, 0.5964, 0.2538)  2 Si 1.62
O (0.3658, 0.5964, 0.7462)  2 Si 1.62
O (0.4044, 0.0000, 0.1822)  2 Si 1.61
O (0.4044, 0.0000, 0.8178)  2 Si 1.61
O (0.4036, 0.2538, 0.3658)  2 Si 1.62
O (0.4036, 0.2538, 0.6342)  2 Si 1.62
O (0.4036, 0.7462, 0.3658)  2 Si 1.62
O (0.4036, 0.7462, 0.6342)  2 Si 1.62
O (0.5000, 0.0956, 0.3178)  2 Si 1.61
O (0.5000, 0.0956, 0.6822)  2 Si 1.61
O (0.5000, 0.1557, 0.5000)  2 Si 1.63
O (0.5000, 0.5000, 0.1557)  2 Si 1.63
O (0.5000, 0.5000, 0.8443)  2 Si 1.63
O (0.5000, 0.8443, 0.5000)  2 Si 1.63
O (0.5000, 0.9044, 0.3178)  2 Si 1.61
O (0.5000, 0.9044, 0.6822)  2 Si 1.61
O (0.5956, 0.0000, 0.1822)  2 Si 1.61
O (0.5956, 0.0000, 0.8178)  2 Si 1.61
O (0.5964, 0.2538, 0.3658)  2 Si 1.62
O (0.5964, 0.2538, 0.6342)  2 Si 1.62
O (0.5964, 0.7462, 0.3658)  2 Si 1.62
O (0.5964, 0.7462, 0.6342)  2 Si 1.62
O (0.6342, 0.4036, 0.2538)  2 Si 1.62
O (0.6342, 0.4036, 0.7462)  2 Si 1.62
O (0.6342, 0.5964, 0.2538)  2 Si 1.62
O (0.6342, 0.5964, 0.7462)  2 Si 1.62
O (0.6557, 0.0000, 0.0000)  2 Si 1.63
O (0.6822, 0.5000, 0.0956)  2 Si 1.61
O (0.6822, 0.5000, 0.9044)  2 Si 1.61
O (0.7462, 0.3658, 0.4036)  2 Si 1.62
O (0.7462, 0.3658, 0.5964)  2 Si 1.62
O (0.7462, 0.6342, 0.4036)  2 Si 1.62
O (0.7462, 0.6342, 0.5964)  2 Si 1.62
O (0.7500, 0.2500, 0.2500)  2 Si 1.62
O (0.7500, 0.2500, 0.7500)  2 Si 1.62
O (0.7500, 0.7500, 0.2500)  2 Si 1.62
O (0.7500, 0.7500, 0.7500)  2 Si 1.62
O (0.7538, 0.0964, 0.1342)  2 Si 1.62
O (0.7538, 0.0964, 0.8658)  2 Si 1.62
O (0.7538, 0.9036, 0.1342)  2 Si 1.62
O (0.7538, 0.9036, 0.8658)  2 Si 1.62
O (0.8178, 0.4044, 0.0000)  2 Si 1.61
O (0.8178, 0.5956, 0.0000)  2 Si 1.61
O (0.8443, 0.5000, 0.5000)  2 Si 1.63
O (0.8658, 0.2462, 0.0964)  2 Si 1.62
O (0.8658, 0.2462, 0.9036)  2 Si 1.62
O (0.8658, 0.7538, 0.0964)  2 Si 1.62
O (0.8658, 0.7538, 0.9036)  2 Si 1.62
O (0.9036, 0.1342, 0.2462)  2 Si 1.62
O (0.9036, 0.1342, 0.7538)  2 Si 1.62
O (0.9044, 0.3178, 0.5000)  2 Si 1.61
O (0.9044, 0.6822, 0.5000)  2 Si 1.61
O (0.9036, 0.8658, 0.2462)  2 Si 1.62
O (0.9036, 0.8658, 0.7538)  2 Si 1.62

Output
The calculation puts the total magnetization at 0.0 μB per formula unit. Its calculated volume is 2614 Å³/cell. The mass density is 1756 kg/m3. The formation energy is -3258 meV/atom.



A geometry-optimized LiCuPO4 structure, computed with PBE.

Unit cell a=4.9298 b=4.9221 c=8.5672 alpha=90.00 beta=124.71 gamma=90.00
Last column: nearest neighbours and their distance in Å.
Atoms (fractional coordinates):
Li (0.0000, 0.1806, 0.0000)  4 O 1.97-2.02
Li (0.0000, 0.8194, 0.5000)  4 O 1.97-2.02
Cu (0.4794, 0.2105, 0.4988)  4 O 1.93-2.06
Cu (0.4794, 0.7895, 0.9988)  4 O 1.93-2.06
P (0.7607, 0.3111, 0.2493)  4 O 1.55-1.56
P (0.7607, 0.6889, 0.7493)  4 O 1.55-1.56
O (0.0703, 0.2432, 0.2493)  1 P 1.56
O (0.0703, 0.7568, 0.7493)  1 P 1.56
O (0.4541, 0.1859, 0.0681)  1 P 1.55
O (0.4541, 0.8141, 0.5681)  1 P 1.55
O (0.7149, 0.3748, 0.7478)  1 P 1.56
O (0.7149, 0.6252, 0.2478)  1 P 1.56
O (0.8205, 0.1975, 0.4352)  1 P 1.55
O (0.8205, 0.8025, 0.9352)  1 P 1.55

Output
The calculation puts the total magnetization at 1.0 μB per formula unit. Its calculated volume is 171 Å³/cell. The mass density is 3215 kg/m3. The formation energy is -2188 meV/atom.



A geometry-optimized Na5Hf2Ga2SiP5O24 structure, computed with PBE.

Unit cell a=8.8393 b=8.8575 c=22.3144 alpha=89.88 beta=89.96 gamma=60.10
Last column: nearest neighbours and their distance in Å.
Atoms (fractional coordinates):
Na (0.0000, 0.0000, 0.0000)  4 O 2.32-2.51
Na (0.9998, 0.3495, 0.2451)  4 O 2.35-2.56
Na (0.0312, 0.2889, 0.5746)  6 O 2.41-2.64
Na (0.2952, 0.6588, 0.5770)  6 O 2.41-2.68
Na (0.3342, 0.3220, 0.1583)  6 O 2.51-2.62
Na (0.3350, 0.6867, 0.9130)  5 O 2.38-2.56
Na (0.3413, 0.3256, 0.6576)  6 O 2.42-2.64
Na (0.3603, 0.9854, 0.7444)  5 O 2.33-2.59
Na (0.3607, 0.6177, 0.2438)  5 O 2.40-2.68
Na (0.6302, 0.9979, 0.2424)  5 O 2.36-2.62
Na (0.6632, 0.6632, 0.3336)  4 O 2.40-2.68
Na (0.6765, 0.6384, 0.8292)  6 O 2.48-2.71
Na (0.6884, 0.9539, 0.9125)  5 O 2.34-2.57
Na (0.6943, 0.3256, 0.4122)  5 O 2.31-2.54
Na (0.9951, 0.9785, 0.4964)  5 O 2.35-2.59
Hf (0.0002, 0.9872, 0.3488)  6 O 2.00-2.09
Hf (0.0019, 0.9909, 0.8456)  6 O 1.98-2.12
Hf (0.3277, 0.3186, 0.0157)  6 O 1.95-2.11
Hf (0.3299, 0.3268, 0.8059)  6 O 2.01-2.12
Hf (0.6633, 0.6524, 0.1756)  6 O 1.99-2.14
Hf (0.6643, 0.6537, 0.6776)  6 O 2.01-2.09
Ga (0.3347, 0.3167, 0.5094)  6 O 1.92-2.09
Ga (0.3364, 0.3196, 0.3122)  6 O 1.96-2.14
Ga (0.6623, 0.6560, 0.9778)  6 O 1.94-2.07
Ga (0.6644, 0.6629, 0.4750)  6 O 1.92-2.10
Ga (0.9886, 0.9942, 0.1387)  6 O 1.92-2.05
Ga (0.9907, 0.9837, 0.6414)  5 O 1.87-2.07
Si (0.2852, 0.6958, 0.7384)  4 O 1.62-1.65
Si (0.3356, 0.0213, 0.9104)  4 O 1.61-1.65
Si (0.7026, 0.2764, 0.2431)  4 O 1.61-1.66
P (0.0023, 0.6970, 0.2418)  4 O 1.53-1.56
P (0.0317, 0.6115, 0.9110)  4 O 1.53-1.56
P (0.0411, 0.3291, 0.4107)  4 O 1.53-1.58
P (0.2836, 0.9937, 0.2412)  4 O 1.52-1.56
P (0.3358, 0.6080, 0.4123)  4 O 1.53-1.56
P (0.3599, 0.6663, 0.0752)  4 O 1.53-1.57
P (0.3709, 0.9517, 0.5733)  4 O 1.54-1.56
P (0.6141, 0.0285, 0.4103)  4 O 1.53-1.58
P (0.6236, 0.3269, 0.9119)  4 O 1.53-1.56
P (0.6651, 0.3570, 0.5725)  4 O 1.55-1.56
P (0.6737, 0.9459, 0.0750)  4 O 1.53-1.56
P (0.7082, 0.9900, 0.7411)  4 O 1.52-1.55
P (0.9513, 0.3587, 0.0750)  4 O 1.53-1.57
P (0.9570, 0.6573, 0.5722)  4 O 1.53-1.57
P (0.9961, 0.2779, 0.7387)  4 O 1.53-1.55
O (0.0092, 0.7973, 0.9036)  1 P 1.56
O (0.0187, 0.1635, 0.4061)  1 P 1.58
O (0.0265, 0.1672, 0.6821)  1 P 1.54
O (0.0413, 0.7760, 0.1870)  1 P 1.53
O (0.1205, 0.5018, 0.8547)  1 P 1.54
O (0.1244, 0.3501, 0.3525)  1 P 1.55
O (0.1323, 0.3469, 0.0719)  1 P 1.55
O (0.1420, 0.4899, 0.5682)  1 P 1.57
O (0.1504, 0.3001, 0.4672)  1 P 1.53
O (0.1554, 0.5321, 0.9646)  1 P 1.53
O (0.1595, 0.5110, 0.2504)  1 P 1.55
O (0.1653, 0.2877, 0.7464)  1 P 1.55
O (0.1646, 0.9952, 0.9078)  1 Si 1.64
O (0.1681, 0.0252, 0.1866)  1 P 1.52
O (0.1726, 0.7910, 0.4062)  1 P 1.55
O (0.1739, 0.7873, 0.6783)  1 Si 1.62
O (0.1816, 0.8303, 0.0825)  1 P 1.53
O (0.1852, 0.9724, 0.5782)  1 P 1.56
O (0.2020, 0.8140, 0.7991)  1 Si 1.65
O (0.2066, 0.9520, 0.2971)  1 P 1.55
O (0.3029, 0.1568, 0.2497)  1 P 1.55
O (0.3069, 0.1494, 0.9659)  1 Si 1.61
O (0.3073, 0.5246, 0.4684)  1 P 1.53
O (0.3094, 0.5025, 0.7442)  1 Si 1.62
O (0.3465, 0.4989, 0.0720)  1 P 1.55
O (0.3483, 0.1363, 0.5675)  1 P 1.55
O (0.3669, 0.4978, 0.3545)  1 P 1.56
O (0.3696, 0.1046, 0.8494)  1 Si 1.65
O (0.4489, 0.6866, 0.0186)  1 P 1.54
O (0.4595, 0.8249, 0.5209)  1 P 1.54
O (0.4706, 0.8318, 0.2362)  1 P 1.56
O (0.4749, 0.6377, 0.1323)  1 P 1.57
O (0.4769, 0.6856, 0.7358)  1 Si 1.65
O (0.4781, 0.8711, 0.6314)  1 P 1.55
O (0.4956, 0.3471, 0.5680)  1 P 1.55
O (0.5041, 0.6223, 0.4172)  1 P 1.56
O (0.5051, 0.3025, 0.2507)  1 Si 1.65
O (0.5060, 0.3596, 0.8558)  1 P 1.56
O (0.5075, 0.1289, 0.0723)  1 P 1.55
O (0.5101, 0.8279, 0.9170)  1 Si 1.64
O (0.5129, 0.1051, 0.3509)  1 P 1.55
O (0.5203, 0.1482, 0.7457)  1 P 1.55
O (0.5322, 0.1530, 0.4634)  1 P 1.53
O (0.5355, 0.2957, 0.9660)  1 P 1.53
O (0.6320, 0.4795, 0.6269)  1 P 1.56
O (0.6344, 0.8467, 0.4170)  1 P 1.54
O (0.6410, 0.4896, 0.9177)  1 P 1.53
O (0.6462, 0.8617, 0.1325)  1 P 1.56
O (0.6805, 0.4732, 0.2378)  1 Si 1.66
O (0.6871, 0.8266, 0.7352)  1 P 1.55
O (0.6920, 0.8378, 0.0186)  1 P 1.54
O (0.7015, 0.4378, 0.5163)  1 P 1.56
O (0.7917, 0.0208, 0.6862)  1 P 1.52
O (0.7924, 0.1468, 0.1872)  1 Si 1.61
O (0.7989, 0.0140, 0.4051)  1 P 1.58
O (0.7995, 0.1572, 0.9047)  1 P 1.54
O (0.8093, 0.9661, 0.7998)  1 P 1.54
O (0.8243, 0.1970, 0.3034)  1 Si 1.64
O (0.8324, 0.1783, 0.5817)  1 P 1.55
O (0.8342, 0.6817, 0.2365)  1 P 1.56
O (0.8358, 0.4533, 0.0210)  1 P 1.53
O (0.8372, 0.4618, 0.7348)  1 P 1.53
O (0.8393, 0.9596, 0.0800)  1 P 1.53
O (0.8429, 0.6830, 0.5173)  1 P 1.53
O (0.8502, 0.6326, 0.9175)  1 P 1.53
O (0.8529, 0.4878, 0.4148)  1 P 1.56
O (0.8710, 0.4658, 0.1338)  1 P 1.57
O (0.8741, 0.6235, 0.6282)  1 P 1.55
O (0.9674, 0.8135, 0.2975)  1 P 1.55
O (0.9685, 0.1937, 0.7951)  1 P 1.54
O (0.9715, 0.1774, 0.0807)  1 P 1.53
O (0.9804, 0.8187, 0.5783)  1 P 1.55

Output
The calculation puts the total magnetization at 0.0 μB per formula unit. Its calculated volume is 1514 Å³/cell. The mass density is 3876 kg/m3. The formation energy is -2871 meV/atom.



A geometry-optimized SbO2 structure, computed with PBE.

Unit cell a=6.0731 b=7.9261 c=8.7531 alpha=83.98 beta=89.71 gamma=89.38
Last column: nearest neighbours and their distance in Å.
Atoms (fractional coordinates):
Sb (0.0009, 0.2986, 0.4430)  3 O 1.97-1.99
Sb (0.0033, 0.1643, 0.8921)  5 O 1.94-2.04
Sb (0.4974, 0.8205, 0.7289)  4 O 1.89-1.94
Sb (0.4985, 0.6859, 0.2301)  3 O 2.00-2.15
Sb (0.5015, 0.3141, 0.7699)  3 O 2.00-2.15
Sb (0.5026, 0.1795, 0.2711)  4 O 1.89-1.94
Sb (0.9967, 0.8357, 0.1079)  5 O 1.94-2.04
Sb (0.9991, 0.7014, 0.5570)  3 O 1.97-1.99
O (0.9996, 0.2414, 0.6694)  2 Sb 1.98-1.99
O (0.0004, 0.7586, 0.3306)  2 Sb 1.98-1.99
O (0.0056, 0.0821, 0.1213)  2 Sb 1.97-2.04
O (0.2541, 0.8471, 0.5846)  2 Sb 1.94-1.97
O (0.2578, 0.1502, 0.4139)  2 Sb 1.94-1.98
O (0.2594, 0.2983, 0.9267)  2 Sb 1.94-2.00
O (0.2618, 0.7078, 0.0707)  2 Sb 1.94-2.00
O (0.4890, 0.0274, 0.8198)  1 Sb 1.90
O (0.4964, 0.4164, 0.2158)  1 Sb 1.89
O (0.5036, 0.5836, 0.7842)  1 Sb 1.89
O (0.5110, 0.9726, 0.1802)  1 Sb 1.90
O (0.7382, 0.2922, 0.9293)  2 Sb 1.94-2.00
O (0.7406, 0.7017, 0.0733)  2 Sb 1.94-2.00
O (0.7422, 0.8498, 0.5861)  2 Sb 1.94-1.98
O (0.7459, 0.1529, 0.4154)  2 Sb 1.94-1.97
O (0.9944, 0.9179, 0.8787)  2 Sb 1.97-2.04

Output
The calculation puts the total magnetization at 0.0 μB per formula unit. Its calculated volume is 419 Å³/cell. The mass density is 4875 kg/m3. The formation energy is -1591 meV/atom.